Entry 1:
Entry from Materials Project: crystalline SrH10S2O8 at its relaxed geometry (PBE).

Summary:
Energy, eV/cell: -875.44
Calculated formation energy, kJ/mol of atoms: -145

abc: 21.2229 8.1853 10.6793
angles: 90.00 107.44 90.00
With the nearest neighbours (Å) after each atom.
Space group C2/c (No. 15)
Unique sites:
Sr1 0.2229 0.1737 0.1859 (multiplicity 8)  9 O 2.58-2.85
H1 0.0029 0.0962 0.8706 (multiplicity 8)  1 O 0.98
H2 0.0069 0.0827 0.0957 (multiplicity 8)  1 O 0.98
H3 0.0652 0.3413 0.7250 (multiplicity 8)  1 O 1.00
H4 0.0682 0.3216 0.5799 (multiplicity 8)  1 O 0.99
H5 0.0825 0.3131 0.0513 (multiplicity 8)  1 O 0.99
H6 0.0835 0.2997 0.1982 (multiplicity 8)  1 O 0.99
H7 0.1067 0.0164 0.4570 (multiplicity 8)  1 O 1.01
H8 0.1405 0.1461 0.7214 (multiplicity 8)  1 O 1.00
H9 0.1719 0.1269 0.5092 (multiplicity 8)  1 O 0.98
H10 0.1765 0.0638 0.8578 (multiplicity 8)  1 O 1.01
S1 0.0745 0.4614 0.3850 (multiplicity 8)  1 S 2.02
S2 0.1744 0.4648 0.4469 (multiplicity 8)  3 O 1.49
O1 0.0276 0.0060 0.3980 (multiplicity 8)  2 H 0.98
O2 0.0658 0.2583 0.6573 (multiplicity 8)  2 H 0.99-1.00
O3 0.0925 0.2368 0.1267 (multiplicity 8)  2 H 0.99
O4 0.1568 0.0147 0.4843 (multiplicity 8)  2 H 0.98-1.01
O5 0.1836 0.0978 0.7724 (multiplicity 8)  2 H 1.00-1.01
O6 0.1974 0.3653 0.9849 (multiplicity 8)  1 S 1.49
O7 0.1978 0.3508 0.5600 (multiplicity 8)  1 S 1.49
O8 0.2000 0.4160 0.3363 (multiplicity 8)  1 S 1.49

=====

Entry 2:
Entry from Materials Project: crystalline ThH2S3O12 at its relaxed geometry (PBE).

Summary:
Energy, eV/cell: -234.02
Calculated formation energy, kJ/mol of atoms: -210

abc: 5.7901 9.2342 9.8001
angles: 65.03 87.90 89.01
With the nearest neighbours (Å) after each atom.
Space group P-1 (No. 2)
Unique sites:
Th1 0.2471 0.3209 0.3271 (multiplicity 2)  9 O 2.34-2.60
H1 0.1658 0.7866 0.0844 (multiplicity 2)  1 O 0.99
H2 0.4212 0.1784 0.7744 (multiplicity 2)  1 O 1.02
S1 0.2464 0.4030 0.6842 (multiplicity 2)  4 O 1.46-1.56
S2 0.2536 0.6947 0.9223 (multiplicity 2)  4 O 1.45-1.58
S3 0.2640 0.8781 0.4090 (multiplicity 2)  4 O 1.47-1.50
O1 0.0156 0.4446 0.7238 (multiplicity 2)  1 S 1.47
O2 0.0571 0.7066 0.8282 (multiplicity 2)  1 S 1.46
O3 0.0663 0.7759 0.4982 (multiplicity 2)  1 S 1.49
O4 0.2060 0.0454 0.3787 (multiplicity 2)  1 S 1.48
O5 0.2217 0.8307 0.9785 (multiplicity 2)  1 H 0.99
O6 0.2657 0.2218 0.7921 (multiplicity 2)  1 H 1.02
O7 0.2666 0.5421 0.0527 (multiplicity 2)  1 S 1.45
O8 0.2706 0.4220 0.5287 (multiplicity 2)  1 S 1.46
O9 0.3094 0.8587 0.2694 (multiplicity 2)  1 S 1.47
O10 0.4284 0.4886 0.7207 (multiplicity 2)  1 S 1.47
O11 0.4687 0.7404 0.8307 (multiplicity 2)  1 S 1.47
O12 0.4722 0.8278 0.5042 (multiplicity 2)  1 S 1.50